Rb3Sc2Br9: optimized geometry, r²SCAN.

```
Rb3Sc2Br9
1.0
3.793 -6.570 0.000
3.793 6.570 0.000
0.000 0.000 19.288
Rb Sc Br
6 4 18
direct
0.333 0.667 0.069
0.667 0.333 0.931
0.667 0.333 0.569
0.333 0.667 0.431
0.000 0.000 0.250
0.000 0.000 0.750
0.333 0.667 0.656
0.667 0.333 0.344
0.667 0.333 0.156
0.333 0.667 0.844
0.167 0.334 0.587
0.833 0.666 0.413
0.666 0.833 0.587
0.833 0.666 0.087
0.334 0.167 0.413
0.167 0.334 0.913
0.167 0.833 0.587
0.334 0.167 0.087
0.833 0.167 0.413
0.666 0.833 0.913
0.833 0.167 0.087
0.167 0.833 0.913
0.507 0.015 0.250
0.493 0.985 0.750
0.985 0.493 0.250
0.015 0.507 0.750
0.507 0.493 0.250
0.493 0.507 0.750
```

Rb3TlBr6: optimized geometry, r²SCAN.

```
Rb3TlBr6
1.0
2.672 -6.647 -4.376
1.393 -7.305 3.894
-5.142 -6.504 -1.313
Rb Tl Br
3 1 6
direct
0.750 0.750 0.750
0.250 0.250 0.250
0.500 0.500 0.500
0.000 0.000 0.000
0.769 0.231 0.231
0.231 0.231 0.769
0.231 0.769 0.769
0.231 0.769 0.231
0.769 0.231 0.769
0.769 0.769 0.231
```

Rb2UBr5: optimized geometry, r²SCAN.

```
Rb2UBr5
1.0
-0.710 5.028 7.003
5.084 -6.179 4.952
11.581 6.646 -3.598
Rb U Br
8 4 20
direct
0.558 0.494 0.828
0.442 0.506 0.172
0.058 0.506 0.672
0.442 0.994 0.172
0.942 0.494 0.328
0.558 0.006 0.828
0.942 0.006 0.328
0.058 0.994 0.672
0.574 0.750 0.504
0.426 0.250 0.496
0.074 0.250 0.996
0.926 0.750 0.004
0.841 0.750 0.797
0.159 0.250 0.203
0.341 0.250 0.703
0.659 0.750 0.297
0.380 0.750 0.680
0.620 0.250 0.320
0.880 0.250 0.820
0.120 0.750 0.180
0.919 0.750 0.508
0.081 0.250 0.492
0.419 0.250 0.992
0.581 0.750 0.008
0.665 0.044 0.575
0.335 0.956 0.425
0.165 0.956 0.925
0.335 0.544 0.425
0.835 0.044 0.075
0.665 0.456 0.575
0.835 0.456 0.075
0.165 0.544 0.925
```

Rb3V2Br9: optimized geometry, r²SCAN.

```
Rb3V2Br9
1.0
3.730 -6.459 0.000
3.730 6.459 0.000
0.000 0.001 18.751
Rb V Br
6 4 18
direct
0.667 0.333 0.569
0.333 0.667 0.069
0.334 0.666 0.431
0.666 0.334 0.931
0.000 0.000 0.251
0.000 0.000 0.751
0.333 0.667 0.659
0.666 0.334 0.339
0.334 0.666 0.839
0.667 0.333 0.159
0.829 0.656 0.411
0.170 0.830 0.591
0.657 0.829 0.589
0.828 0.172 0.410
0.344 0.171 0.411
0.171 0.344 0.911
0.019 0.507 0.750
0.656 0.829 0.911
0.829 0.657 0.089
0.171 0.343 0.589
0.493 0.981 0.750
0.510 0.490 0.249
0.490 0.510 0.750
0.172 0.828 0.910
0.343 0.171 0.089
0.981 0.493 0.250
0.507 0.019 0.250
0.830 0.170 0.091
```

RbVBr3: optimized geometry, r²SCAN.

```
RbVBr3
1.0
6.446 -11.165 0.000
6.446 11.165 0.000
0.000 0.000 6.458
Rb V Br
6 6 18
direct
0.000 0.332 0.750
0.332 0.332 0.250
0.668 0.668 0.750
0.000 0.668 0.250
0.332 0.000 0.750
0.668 0.000 0.250
0.333 0.667 0.527
0.667 0.333 0.473
0.000 0.000 0.000
0.000 0.000 0.500
0.667 0.333 0.973
0.333 0.667 0.027
0.829 0.496 0.722
0.334 0.504 0.778
0.171 0.666 0.778
0.829 0.334 0.222
0.171 0.504 0.278
0.163 0.000 0.250
0.334 0.829 0.278
0.496 0.829 0.778
0.666 0.171 0.722
0.666 0.496 0.222
0.000 0.163 0.250
0.163 0.163 0.750
0.837 0.000 0.750
0.000 0.837 0.750
0.837 0.837 0.250
0.504 0.171 0.222
0.496 0.666 0.278
0.504 0.334 0.722
```

RbVBr3: optimized geometry, r²SCAN.

```
RbVBr3
1.0
-6.069 -0.683 4.263
4.667 -5.751 -0.783
3.368 2.036 5.121
Rb V Br
2 2 6
direct
0.667 0.333 0.250
0.333 0.667 0.750
0.000 0.000 0.000
0.000 0.000 0.500
0.162 0.325 0.250
0.838 0.162 0.750
0.162 0.838 0.250
0.325 0.162 0.750
0.675 0.838 0.250
0.838 0.675 0.750
```

RbVBr3: optimized geometry, r²SCAN.

```
RbVBr3
1.0
-10.916 -3.621 5.862
10.466 -7.529 0.627
1.877 3.057 5.384
Rb V Br
6 6 18
direct
0.333 0.333 0.267
0.667 0.667 0.767
0.000 0.667 0.267
0.667 0.000 0.267
0.333 0.000 0.767
0.000 0.333 0.767
0.000 0.000 0.996
0.000 0.000 0.496
0.333 0.667 0.054
0.667 0.333 0.554
0.333 0.667 0.554
0.667 0.333 0.054
0.505 0.333 0.805
0.495 0.667 0.304
0.333 0.829 0.304
0.171 0.505 0.304
0.829 0.495 0.805
0.000 0.162 0.245
0.162 0.000 0.245
0.162 0.162 0.745
0.000 0.838 0.745
0.505 0.171 0.305
0.838 0.838 0.245
0.838 0.000 0.745
0.495 0.829 0.804
0.333 0.505 0.804
0.171 0.667 0.804
0.829 0.333 0.304
0.667 0.495 0.304
0.667 0.171 0.805
```

Rb2WBr6: optimized geometry, r²SCAN.

```
Rb2WBr6
1.0
0.000 5.288 5.288
5.288 0.000 5.288
5.288 5.288 0.000
Rb W Br
2 1 6
direct
0.750 0.750 0.750
0.250 0.250 0.250
0.000 0.000 0.000
0.760 0.240 0.760
0.240 0.240 0.760
0.760 0.760 0.240
0.240 0.760 0.240
0.240 0.760 0.760
0.760 0.240 0.240
```

Rb2ZnBr4: optimized geometry, r²SCAN.

```
Rb2ZnBr4
1.0
-5.572 2.103 4.782
-6.481 -0.717 -7.236
-2.129 -12.877 3.182
Rb Zn Br
8 4 16
direct
0.256 0.017 0.175
0.756 0.983 0.825
0.756 0.483 0.675
0.256 0.517 0.325
0.257 0.378 0.916
0.757 0.622 0.084
0.757 0.122 0.416
0.257 0.878 0.584
0.249 0.777 0.922
0.749 0.223 0.078
0.749 0.723 0.422
0.249 0.277 0.578
0.236 0.022 0.915
0.736 0.978 0.085
0.736 0.478 0.415
0.236 0.522 0.585
0.266 0.683 0.089
0.766 0.317 0.911
0.766 0.817 0.589
0.266 0.183 0.411
0.497 0.687 0.834
0.997 0.313 0.166
0.997 0.813 0.334
0.497 0.187 0.666
0.989 0.677 0.851
0.489 0.323 0.149
0.489 0.823 0.351
0.989 0.177 0.649
```

Results
ΔE to the lowest computed polymorph: 2.8 meV/atom

Rb2ZnBr4: optimized geometry, r²SCAN.

```
Rb2ZnBr4
1.0
9.758 0.000 0.000
0.000 7.601 -0.001
0.000 7.541 13.420
Rb Zn Br
8 4 16
direct
0.623 0.339 0.398
0.014 0.919 0.327
0.514 0.081 0.173
0.486 0.919 0.827
0.877 0.339 0.898
0.986 0.081 0.673
0.123 0.661 0.102
0.377 0.661 0.602
0.726 0.675 0.076
0.274 0.325 0.924
0.774 0.675 0.576
0.226 0.325 0.424
0.019 0.673 0.584
0.519 0.327 0.916
0.678 0.787 0.413
0.178 0.213 0.087
0.675 0.891 0.634
0.825 0.891 0.134
0.981 0.327 0.416
0.481 0.673 0.084
0.325 0.109 0.366
0.822 0.787 0.913
0.805 0.336 0.185
0.175 0.109 0.866
0.305 0.664 0.315
0.322 0.213 0.587
0.195 0.664 0.815
0.695 0.336 0.685
```

Results
ΔE to the lowest computed polymorph: 0.0 meV/atom

Rb2ZnBr4: optimized geometry, r²SCAN.

```
Rb2ZnBr4
1.0
7.617 0.000 0.000
0.000 9.747 0.000
0.000 0.000 13.449
Rb Zn Br
8 4 16
direct
0.250 0.482 0.673
0.750 0.378 0.921
0.750 0.878 0.579
0.250 0.122 0.421
0.250 0.622 0.079
0.750 0.018 0.173
0.750 0.518 0.327
0.250 0.982 0.827
0.250 0.225 0.077
0.750 0.275 0.577
0.250 0.725 0.423
0.750 0.775 0.923
0.250 0.815 0.591
0.506 0.823 0.346
0.506 0.323 0.154
0.494 0.177 0.654
0.994 0.823 0.346
0.250 0.480 0.412
0.750 0.020 0.912
0.994 0.323 0.154
0.250 0.980 0.088
0.750 0.185 0.409
0.006 0.677 0.846
0.250 0.315 0.909
0.750 0.685 0.091
0.006 0.177 0.654
0.750 0.520 0.588
0.494 0.677 0.846
```

Results
ΔE to the lowest computed polymorph: 2.3 meV/atom

Re6Se7Br4: optimized geometry, r²SCAN.

```
Re6Se7Br4
1.0
-0.846 9.850 7.007
-9.550 4.423 6.006
-1.910 0.862 11.935
Re Se Br
12 14 8
direct
0.529 0.391 0.684
0.391 0.684 0.529
0.684 0.529 0.391
0.184 0.891 0.029
0.891 0.029 0.184
0.029 0.184 0.891
0.473 0.611 0.316
0.611 0.316 0.473
0.316 0.473 0.611
0.816 0.111 0.973
0.111 0.973 0.816
0.973 0.816 0.111
0.809 0.243 0.543
0.243 0.543 0.809
0.543 0.809 0.243
0.043 0.743 0.309
0.743 0.309 0.043
0.309 0.043 0.743
0.192 0.758 0.456
0.758 0.456 0.192
0.456 0.192 0.758
0.956 0.258 0.692
0.258 0.692 0.956
0.692 0.956 0.258
0.598 0.598 0.598
0.098 0.098 0.098
0.954 0.549 0.247
0.549 0.247 0.954
0.247 0.954 0.549
0.747 0.049 0.454
0.049 0.454 0.747
0.454 0.747 0.049
0.398 0.398 0.398
0.898 0.898 0.898
```

| no. | ΔE_f (eV per atom) |
| --- | --- |
| 1 | -2.02 |
| 2 | -1.39 |
| 3 | -1.95 |
| 4 | -1.57 |
| 5 | -1.59 |
| 6 | -1.59 |
| 7 | -1.59 |
| 8 | -1.26 |
| 9 | -1.63 |
| 10 | -1.63 |
| 11 | -1.63 |
| 12 | -0.55 |